Below is an optimized crystal structure of LaH20, with properties calculated at the PBE-GGA level.

The structure belongs to space group R-3m (No. 166, hexagonal axes); the cell edges are 7.3108, 7.3108 and 13.1063 Å and the angles 90.00°, 90.00° and 120.00°. The inequivalent atoms are La at (0.0000, 0.0000, 0.0000), H at (0.0000, 0.0000, 0.1711), H at (0.0000, 0.4482, 0.0000), H at (0.0088, 0.5044, 0.2385) and H at (0.0816, 0.5408, 0.8037).

=====

Below is an optimized crystal structure of MnBi, with properties calculated at the PBE-GGA level.

The structure belongs to space group P6_3/mmc (No. 194); the cell edges are 4.1259, 4.1259 and 6.9141 Å and the angles 90.00°, 90.00° and 120.00°. The inequivalent atoms are Mn at (0.3333, 0.6667, 0.2500) and Bi at (0.0000, 0.0000, 0.0000).

=====

Below is an optimized crystal structure of DyMn6Sn4Ge2, with properties calculated at the PBE-GGA level.

The structure belongs to space group P6/mmm (No. 191); the cell edges are 5.3747, 5.3747 and 8.7136 Å and the angles 90.00°, 90.00° and 120.00°. The inequivalent atoms are Dy at (0.0000, 0.0000, 0.0000), Mn at (0.0000, 0.5000, 0.2322), Sn at (0.0000, 0.0000, 0.3343), Sn at (0.3333, 0.6667, 0.5000) and Ge at (0.3333, 0.6667, 0.0000).

=====

Below is an optimized crystal structure of Na2ZrF6, with properties calculated at the PBE-GGA level.

The structure belongs to space group P2_1/c (No. 14); the cell edges are 5.657, 5.501 and 16.366 Å and the angles 90.00°, 95.97° and 90.00°. The inequivalent atoms are Na at (0.173, 0.002, 0.092), Na at (0.256, 0.538, 0.253), Zr at (0.324, 0.052, 0.401), F at (0.070, 0.218, 0.317), F at (0.102, 0.729, 0.865), F at (0.154, 0.225, 0.975), F at (0.370, 0.671, 0.012), F at (0.442, 0.181, 0.650) and F at (0.481, 0.710, 0.665).

=====

no.,total energy (eV per atom)
1,-3.35
2,-6.08
3,-6.75
4,-5.84